The following is a PBE calculation of a relaxed structure of CsLaMg6, from the Materials Project database.

Cell lengths 5.3713, 7.5229, 11.8833 Å; angles 90.00, 90.00, 90.00 degrees
With the nearest neighbours (Å) after each atom.
Fractional positions:
Cs 0.5000 0.5000 0.8489  10 Mg 3.40-3.77, 2 La 3.52
Mg 0.0000 0.7050 0.4123  6 Mg 3.08-3.43, 1 La 3.30
Mg 0.5000 0.7469 0.0887  7 Mg 3.36-3.71, 2 La 3.39, 2 Cs 3.40-3.63
Mg 0.5000 0.0000 0.8346  10 Mg 3.23-3.57
Mg 0.0000 0.0000 0.6564  10 Mg 3.36-3.65, 2 La 3.76
La 0.0000 0.5000 0.6581  6 Mg 3.30-3.39, 2 Cs 3.52
Mg 0.5000 0.7531 0.5887  7 Mg 3.36-3.71, 2 La 3.39, 2 Cs 3.40-3.63
Cs 0.5000 0.0000 0.3489  10 Mg 3.40-3.77, 2 La 3.52
Mg 0.0000 0.7950 0.9123  6 Mg 3.08-3.43, 1 La 3.30
Mg 0.5000 0.2469 0.5887  7 Mg 3.36-3.71, 2 La 3.39, 2 Cs 3.40-3.63
Mg 0.0000 0.2950 0.4123  6 Mg 3.08-3.43, 1 La 3.30
Mg 0.5000 0.2531 0.0887  7 Mg 3.36-3.71, 2 La 3.39, 2 Cs 3.40-3.63
Mg 0.5000 0.5000 0.3346  10 Mg 3.23-3.57
Mg 0.0000 0.5000 0.1564  10 Mg 3.36-3.65, 2 La 3.76
Mg 0.0000 0.2050 0.9123  6 Mg 3.08-3.43, 1 La 3.30
La 0.0000 0.0000 0.1581  6 Mg 3.30-3.39, 2 Cs 3.52

Energy relative to the elements: 5.7 kcal/mol of atoms
V: 30.01 A^3/atom
Raw total energy: -1.681 eV/atom
Excess energy over the best structure of this formula in the dataset: 0.036 eV per atom